Record 1
A relaxed BaMg6SiO8 crystal. Source: Materials Project, functional PBE.

Output
- Energy relative to the lowest polymorph listed for this composition: 0.020 eV per atom
- Total magnetization: 0.0 μB/f.u.

```
data_BaMg6SiO8
_cell_length_a 4.799
_cell_length_b 4.799
_cell_length_c 8.634
_cell_angle_alpha 90.00
_cell_angle_beta 90.00
_cell_angle_gamma 90.00
_space_group_name_H-M_alt 'P 4/m m m'
_space_group_IT_number 123
_space_group_name_Hall '-P 4 2'
loop_
_atom_site_label
_atom_site_fract_x
_atom_site_fract_y
_atom_site_fract_z
_atom_site_occupancy
Ba1 0.000 0.000 0.000 1
Mg1 0.000 0.500 0.265 1
Mg2 0.500 0.500 0.000 1
Mg3 0.500 0.500 0.500 1
Si1 0.000 0.000 0.500 1
O1 0.000 0.000 0.289 1
O2 0.000 0.500 0.000 1
O3 0.000 0.500 0.500 1
O4 0.500 0.500 0.252 1
```

---

Record 2
A relaxed BaMg6SiO8 crystal. Source: Materials Project, functional PBE.

Output
- Energy relative to the lowest polymorph listed for this composition: 0.000 eV per atom
- Total magnetization: 0.0 μB/f.u.

```
data_BaMg6SiO8
_cell_length_a 4.677
_cell_length_b 4.677
_cell_length_c 9.007
_cell_angle_alpha 90.00
_cell_angle_beta 90.00
_cell_angle_gamma 90.00
_space_group_name_H-M_alt 'P 4/m m m'
_space_group_IT_number 123
_space_group_name_Hall '-P 4 2'
loop_
_atom_site_label
_atom_site_fract_x
_atom_site_fract_y
_atom_site_fract_z
_atom_site_occupancy
Ba1 0.000 0.000 0.000 1
Mg1 0.000 0.000 0.500 1
Mg2 0.000 0.500 0.272 1
Mg3 0.500 0.500 0.500 1
Si1 0.500 0.500 0.000 1
O1 0.000 0.000 0.283 1
O2 0.000 0.500 0.000 1
O3 0.000 0.500 0.500 1
O4 0.500 0.500 0.267 1
```

---

Record 3
A relaxed BaMg14SiO16 crystal. Source: Materials Project, functional PBE.

Output
- Total magnetization: 0.1 μB/f.u.

```
data_BaMg14SiO16
_cell_length_a 4.561
_cell_length_b 8.644
_cell_length_c 8.900
_cell_angle_alpha 90.00
_cell_angle_beta 90.00
_cell_angle_gamma 90.00
_space_group_name_H-M_alt 'P m m m'
_space_group_IT_number 47
_space_group_name_Hall '-P 2 2'
loop_
_atom_site_label
_atom_site_fract_x
_atom_site_fract_y
_atom_site_fract_z
_atom_site_occupancy
Ba1 0.000 0.000 0.000 1
Mg1 0.000 0.000 0.500 1
Mg2 0.000 0.258 0.265 1
Mg3 0.000 0.500 0.500 1
Mg4 0.500 0.000 0.266 1
Mg5 0.500 0.252 0.500 1
Mg6 0.500 0.263 0.000 1
Mg7 0.500 0.500 0.255 1
Si1 0.000 0.500 0.000 1
O1 0.000 0.000 0.280 1
O2 0.000 0.253 0.500 1
O3 0.000 0.285 0.000 1
O4 0.000 0.500 0.270 1
O5 0.500 0.000 0.000 1
O6 0.500 0.000 0.500 1
O7 0.500 0.250 0.250 1
O8 0.500 0.500 0.000 1
O9 0.500 0.500 0.500 1
```

---

Record 4
A relaxed BaMg14SiO16 crystal. Source: Materials Project, functional PBE.

Output
- Total magnetization: 0.0 μB/f.u.

```
data_BaMg14SiO16
_cell_length_a 8.776
_cell_length_b 8.776
_cell_length_c 4.537
_cell_angle_alpha 90.00
_cell_angle_beta 90.00
_cell_angle_gamma 90.00
_space_group_name_H-M_alt 'P 4/m m m'
_space_group_IT_number 123
_space_group_name_Hall '-P 4 2'
loop_
_atom_site_label
_atom_site_fract_x
_atom_site_fract_y
_atom_site_fract_z
_atom_site_occupancy
Ba1 0.000 0.000 0.000 1
Mg1 0.000 0.264 0.500 1
Mg2 0.000 0.500 0.000 1
Mg3 0.249 0.500 0.500 1
Mg4 0.257 0.257 0.000 1
Si1 0.500 0.500 0.000 1
O1 0.000 0.000 0.500 1
O2 0.000 0.280 0.000 1
O3 0.000 0.500 0.500 1
O4 0.246 0.500 0.000 1
O5 0.251 0.251 0.500 1
O6 0.500 0.500 0.500 1
```

---

Record 5
A relaxed BaMg2Si2O7 crystal. Source: Materials Project, functional PBE.

```
data_BaMg2Si2O7
_cell_length_a 7.351
_cell_length_b 12.855
_cell_length_c 13.909
_cell_angle_alpha 90.00
_cell_angle_beta 90.23
_cell_angle_gamma 90.00
_space_group_name_H-M_alt 'C 1 2/c 1'
_space_group_IT_number 15
_space_group_name_Hall '-C 2yc'
loop_
_atom_site_label
_atom_site_fract_x
_atom_site_fract_y
_atom_site_fract_z
_atom_site_occupancy
Ba1 0.202 0.016 0.121 1
Mg1 0.000 0.229 0.250 1
Mg2 0.000 0.231 0.750 1
Mg3 0.038 0.235 0.509 1
Si1 0.178 0.395 0.621 1
Si2 0.215 0.374 0.134 1
O1 0.003 0.320 0.866 1
O2 0.075 0.276 0.115 1
O3 0.093 0.484 0.121 1
O4 0.117 0.116 0.942 1
O5 0.171 0.116 0.295 1
O6 0.219 0.141 0.754 1
O7 0.249 0.139 0.485 1
```

---

Record 6
A relaxed BaMgSn4O8 crystal. Source: Materials Project, functional PBE.

Output
- Total magnetization: 0.0 μB/f.u.

```
data_BaMgSn4O8
_cell_length_a 5.9884
_cell_length_b 5.9884
_cell_length_c 6.9358
_cell_angle_alpha 90.00
_cell_angle_beta 90.00
_cell_angle_gamma 120.00
_space_group_name_H-M_alt 'P -3 1 m'
_space_group_IT_number 162
_space_group_name_Hall '-P 3 2'
loop_
_atom_site_label
_atom_site_fract_x
_atom_site_fract_y
_atom_site_fract_z
_atom_site_occupancy
Ba1 0.0000 0.0000 0.0000 1
Mg1 0.0000 0.0000 0.5000 1
Sn1 0.3333 0.6667 0.2916 1
O1 0.0000 0.2902 0.3049 1
O2 0.3333 0.6667 0.0000 1
```

---

no.,V (Å³/cell),energy with MP2020 corrections (eV per atom),DFT total energy (eV/atom)
1,198.8,-5.910,-5.57
2,197.0,-5.930,-5.59
3,350.9,-6.105,-5.76
4,349.4,-6.106,-5.76
5,1314.3,-7.517,-7.12
6,215.4,-6.296,-5.90